No. 1
DFT (PBE) results for a relaxed V2NiS4 crystal.

a b c (Å): 6.292 6.292 5.855
angles (deg): 114.85 114.85 29.69
Atoms (fractional coordinates):
V 0.242 0.242 0.191
V 0.758 0.758 0.809
Ni 0.500 0.500 0.500
S 0.139 0.139 0.480
S 0.393 0.393 0.053
S 0.607 0.607 0.947
S 0.861 0.861 0.520

**Energy of formation from the pure elements**: -7.6 eV per formula unit

=====

No. 2
DFT (PBE) results for a relaxed V4NiS8 crystal.

a b c (Å): 6.473 6.473 7.867
angles (deg): 126.63 126.63 61.50
Atoms (fractional coordinates):
V 0.214 0.786 0.000
V 0.231 0.231 0.472
V 0.769 0.769 0.528
V 0.786 0.214 0.000
Ni 0.500 0.500 0.500
S 0.041 0.541 0.327
S 0.056 0.056 0.833
S 0.459 0.959 0.673
S 0.472 0.472 0.171
S 0.528 0.528 0.829
S 0.541 0.041 0.327
S 0.944 0.944 0.167
S 0.959 0.459 0.673

**Energy of formation from the pure elements**: -14.6 eV per formula unit

=====

No. 3
DFT (PBE) results for a relaxed Zr2NiS4 crystal.

a b c (Å): 6.906 6.906 6.321
angles (deg): 117.12 117.12 31.00
Atoms (fractional coordinates):
Zr 0.000 0.000 0.000
Zr 0.503 0.503 0.513
Ni 0.327 0.327 0.666
S 0.130 0.130 0.472
S 0.376 0.376 0.055
S 0.629 0.629 0.968
S 0.871 0.871 0.540

**Energy of formation from the pure elements**: -11.4 eV per formula unit

=====

No. 4
DFT (PBE) results for a relaxed Ni3Sb crystal.

a b c (Å): 5.265 5.265 4.273
angles (deg): 90.00 90.00 120.00
Atoms (fractional coordinates):
Ni 0.162 0.325 0.250
Ni 0.162 0.838 0.250
Ni 0.325 0.162 0.750
Ni 0.675 0.838 0.250
Ni 0.838 0.162 0.750
Ni 0.838 0.675 0.750
Sb 0.333 0.667 0.750
Sb 0.667 0.333 0.250

**Energy above the lowest structure with this stoichiometry**: 0.014 eV per atom
**Energy of formation from the pure elements**: -0.7 eV per formula unit

=====

No. 5
DFT (PBE) results for a relaxed Ni3Sb crystal.

a b c (Å): 4.258 5.326 4.532
angles (deg): 90.00 90.00 90.00
Atoms (fractional coordinates):
Ni 0.250 0.000 0.170
Ni 0.250 0.250 0.680
Ni 0.250 0.500 0.170
Ni 0.750 0.000 0.830
Ni 0.750 0.500 0.830
Ni 0.750 0.750 0.320
Sb 0.250 0.750 0.678
Sb 0.750 0.250 0.322

**Energy above the lowest structure with this stoichiometry**: 0.000 eV per atom
**Energy of formation from the pure elements**: -0.8 eV per formula unit

=====

No. 6
DFT (PBE) results for a relaxed Ni3Sb crystal.

a b c (Å): 3.726 3.726 3.726
angles (deg): 90.00 90.00 90.00
Atoms (fractional coordinates):
Ni 0.000 0.000 0.500
Ni 0.000 0.500 0.000
Ni 0.500 0.000 0.000
Sb 0.500 0.500 0.500

**Energy above the lowest structure with this stoichiometry**: 0.008 eV per atom
**Energy of formation from the pure elements**: -0.8 eV per formula unit

=====

No. 7
DFT (PBE) results for a relaxed NiSb3 crystal.

a b c (Å): 8.013 8.013 8.013
angles (deg): 109.47 109.47 109.47
Atoms (fractional coordinates):
Ni 0.000 0.000 0.500
Ni 0.000 0.500 0.000
Ni 0.500 0.000 0.000
Ni 0.500 0.500 0.500
Sb 0.160 0.498 0.338
Sb 0.160 0.822 0.662
Sb 0.178 0.338 0.840
Sb 0.338 0.160 0.498
Sb 0.338 0.840 0.178
Sb 0.498 0.338 0.160
Sb 0.502 0.662 0.840
Sb 0.662 0.160 0.822
Sb 0.662 0.840 0.502
Sb 0.822 0.662 0.160
Sb 0.840 0.178 0.338
Sb 0.840 0.502 0.662

**Energy of formation from the pure elements**: -1.1 eV per formula unit

=====

No. 8
DFT (PBE) results for a relaxed Ni3Sb crystal.

a b c (Å): 4.185 4.185 4.185
angles (deg): 60.00 60.00 60.00
Atoms (fractional coordinates):
Ni 0.000 0.000 0.000
Ni 0.250 0.250 0.250
Ni 0.750 0.750 0.750
Sb 0.500 0.500 0.500

**Energy above the lowest structure with this stoichiometry**: 0.043 eV per atom
**Energy of formation from the pure elements**: -0.6 eV per formula unit

=====

No. 9
DFT (PBE) results for a relaxed SmNiSb3 crystal.

a b c (Å): 12.475 6.250 18.471
angles (deg): 90.00 90.00 90.00
Atoms (fractional coordinates):
Sm 0.194 0.060 0.250
Sm 0.194 0.440 0.750
Sm 0.200 0.528 0.084
Sm 0.200 0.528 0.416
Sm 0.200 0.972 0.584
Sm 0.200 0.972 0.916
Sm 0.800 0.028 0.084
Sm 0.800 0.028 0.416
Sm 0.800 0.472 0.584
Sm 0.800 0.472 0.916
Sm 0.806 0.560 0.250
Sm 0.806 0.940 0.750
Ni 0.395 0.250 0.000
Ni 0.395 0.250 0.500
Ni 0.398 0.672 0.676
Ni 0.398 0.672 0.824
Ni 0.398 0.828 0.176
Ni 0.398 0.828 0.324
Ni 0.602 0.172 0.676
Ni 0.602 0.172 0.824
Ni 0.602 0.328 0.176
Ni 0.602 0.328 0.324
Ni 0.605 0.750 0.000
Ni 0.605 0.750 0.500
Sb 0.004 0.250 0.000
Sb 0.004 0.250 0.500
Sb 0.004 0.705 0.666
Sb 0.004 0.705 0.834
Sb 0.004 0.795 0.166
Sb 0.004 0.795 0.334
Sb 0.270 0.026 0.084
Sb 0.270 0.026 0.416
Sb 0.270 0.474 0.584
Sb 0.270 0.474 0.916
Sb 0.274 0.554 0.250
Sb 0.274 0.946 0.750
Sb 0.442 0.186 0.250
Sb 0.442 0.314 0.750
Sb 0.474 0.542 0.087
Sb 0.474 0.542 0.413
Sb 0.474 0.958 0.587
Sb 0.474 0.958 0.913
Sb 0.526 0.042 0.087
Sb 0.526 0.042 0.413
Sb 0.526 0.458 0.587
Sb 0.526 0.458 0.913
Sb 0.558 0.686 0.250
Sb 0.558 0.814 0.750
Sb 0.726 0.054 0.250
Sb 0.726 0.446 0.750
Sb 0.730 0.526 0.084
Sb 0.730 0.526 0.416
Sb 0.730 0.974 0.584
Sb 0.730 0.974 0.916
Sb 0.996 0.205 0.666
Sb 0.996 0.205 0.834
Sb 0.996 0.295 0.166
Sb 0.996 0.295 0.334
Sb 0.996 0.750 0.000
Sb 0.996 0.750 0.500

**Energy of formation from the pure elements**: -3.6 eV per formula unit

=====

No. 10
DFT (PBE) results for a relaxed SmNiSb2 crystal.

a b c (Å): 4.399 4.399 9.554
angles (deg): 90.00 90.00 90.00
Atoms (fractional coordinates):
Sm 0.250 0.250 0.241
Sm 0.750 0.750 0.759
Ni 0.250 0.750 0.000
Ni 0.750 0.250 0.000
Sb 0.250 0.250 0.864
Sb 0.250 0.750 0.500
Sb 0.750 0.250 0.500
Sb 0.750 0.750 0.136

**Energy of formation from the pure elements**: -3.2 eV per formula unit

=====

No. 11
DFT (PBE) results for a relaxed U3Ni3Sn2Sb2 crystal.

a b c (Å): 8.056 8.056 8.056
angles (deg): 109.47 109.47 109.47
Atoms (fractional coordinates):
U 0.125 0.875 0.250
U 0.250 0.125 0.875
U 0.375 0.625 0.750
U 0.625 0.750 0.375
U 0.750 0.375 0.625
U 0.875 0.250 0.125
Ni 0.124 0.750 0.874
Ni 0.250 0.626 0.376
Ni 0.376 0.250 0.626
Ni 0.626 0.376 0.250
Ni 0.750 0.874 0.124
Ni 0.874 0.124 0.750
Sn 0.000 0.171 0.500
Sn 0.171 0.500 0.000
Sn 0.329 0.329 0.329
Sn 0.500 0.000 0.171
Sb 0.000 0.667 0.500
Sb 0.500 0.000 0.667
Sb 0.667 0.500 0.000
Sb 0.833 0.833 0.833

**Energy of formation from the pure elements**: -3.6 eV per formula unit

=====

No. 12
DFT (PBE) results for a relaxed SrNi2Sb2 crystal.

a b c (Å): 6.299 6.299 6.299
angles (deg): 138.47 138.47 60.19
Atoms (fractional coordinates):
Sr 0.000 0.000 0.000
Ni 0.250 0.750 0.500
Ni 0.750 0.250 0.500
Sb 0.360 0.360 0.000
Sb 0.640 0.640 0.000

**Energy of formation from the pure elements**: -3.0 eV per formula unit

=====

No. 13
DFT (PBE) results for a relaxed TbNiSb2 crystal.

a b c (Å): 4.383 4.383 9.330
angles (deg): 90.00 90.00 90.00
Atoms (fractional coordinates):
Tb 0.250 0.250 0.241
Tb 0.750 0.750 0.759
Ni 0.250 0.750 0.000
Ni 0.750 0.250 0.000
Sb 0.250 0.250 0.860
Sb 0.250 0.750 0.500
Sb 0.750 0.250 0.500
Sb 0.750 0.750 0.140

**Energy of formation from the pure elements**: -3.1 eV per formula unit

=====

No. 14
DFT (PBE) results for a relaxed TbNiSb crystal.

a b c (Å): 4.504 4.504 4.504
angles (deg): 60.00 60.00 60.00
Atoms (fractional coordinates):
Tb 0.000 0.000 0.000
Ni 0.250 0.250 0.250
Sb 0.500 0.500 0.500

**Energy of formation from the pure elements**: -2.9 eV per formula unit
**Largest piezoelectric modulus**: 0.285 C/m²

=====

No. 15
DFT (PBE) results for a relaxed Ni6SbTe2 crystal.

a b c (Å): 9.991 9.991 9.991
angles (deg): 158.03 158.03 31.27
Atoms (fractional coordinates):
Ni 0.000 0.000 0.000
Ni 0.215 0.715 0.500
Ni 0.309 0.309 0.000
Ni 0.403 0.903 0.500
Ni 0.715 0.215 0.500
Ni 0.903 0.403 0.500
Sb 0.810 0.810 0.000
Te 0.131 0.131 0.000
Te 0.494 0.494 0.000

**Energy of formation from the pure elements**: -2.3 eV per formula unit

=====

No. 16
DFT (PBE) results for a relaxed TiNiSb crystal.

a b c (Å): 4.366 4.366 4.366
angles (deg): 60.00 60.00 60.00
Atoms (fractional coordinates):
Ti 0.000 0.000 0.000
Ni 0.250 0.250 0.250
Sb 0.750 0.750 0.750

**Energy of formation from the pure elements**: -0.3 eV per formula unit

=====

No. 17
DFT (PBE) results for a relaxed TiNiSb crystal.

a b c (Å): 4.200 4.200 4.200
angles (deg): 60.00 60.00 60.00
Atoms (fractional coordinates):
Ti 0.000 0.000 0.000
Ni 0.750 0.750 0.750
Sb 0.500 0.500 0.500

**Energy of formation from the pure elements**: -1.7 eV per formula unit

=====

No. 18
DFT (PBE) results for a relaxed TmNiSb crystal.

a b c (Å): 4.449 4.449 4.449
angles (deg): 60.00 60.00 60.00
Atoms (fractional coordinates):
Tm 0.000 0.000 0.000
Ni 0.250 0.250 0.250
Sb 0.500 0.500 0.500

**Energy of formation from the pure elements**: -2.9 eV per formula unit
**Largest piezoelectric modulus**: 0.276 C/m²

=====

No. 19
DFT (PBE) results for a relaxed U2NiSb4 crystal.

a b c (Å): 4.341 4.341 8.997
angles (deg): 90.00 90.00 90.00
Atoms (fractional coordinates):
U 0.000 0.500 0.227
U 0.500 0.000 0.773
Ni 0.500 0.500 0.000
Sb 0.000 0.000 0.500
Sb 0.000 0.500 0.851
Sb 0.500 0.000 0.149
Sb 0.500 0.500 0.500

**Energy of formation from the pure elements**: -3.2 eV per formula unit

=====

No. 20
DFT (PBE) results for a relaxed U3Ni3Sb4 crystal.

a b c (Å): 8.126 8.126 8.126
angles (deg): 109.47 109.47 109.47
Atoms (fractional coordinates):
U 0.125 0.875 0.250
U 0.250 0.125 0.875
U 0.375 0.625 0.750
U 0.625 0.750 0.375
U 0.750 0.375 0.625
U 0.875 0.250 0.125
Ni 0.125 0.750 0.875
Ni 0.250 0.625 0.375
Ni 0.375 0.250 0.625
Ni 0.625 0.375 0.250
Ni 0.750 0.875 0.125
Ni 0.875 0.125 0.750
Sb 0.000 0.168 0.500
Sb 0.000 0.668 0.500
Sb 0.168 0.500 0.000
Sb 0.332 0.332 0.332
Sb 0.500 0.000 0.168
Sb 0.500 0.000 0.668
Sb 0.668 0.500 0.000
Sb 0.832 0.832 0.832

**Energy of formation from the pure elements**: -5.2 eV per formula unit